1.
Entry from the Materials Project database: BaCO3 after structural relaxation (GGA-PBE).

```
BaCO3
1.0
7.128 -2.712 0.000
7.128 2.712 0.000
6.096 0.000 4.583
O Ba C
6 2 2
Direct
0.250 0.491 0.009
0.991 0.750 0.509
0.509 0.991 0.750
0.750 0.509 0.991
0.009 0.250 0.491
0.491 0.009 0.250
0.500 0.500 0.500
0.000 0.000 0.000
0.250 0.250 0.250
0.750 0.750 0.750
```

Summary:
- M_tot (μB per formula unit) = 0.00
- electronic total energy (eV per atom) = -7.42
- volume (Å³/cell) = 177.2



2.
Entry from the Materials Project database: NaH12C4S2BrO2 after structural relaxation (GGA-PBE).

```
NaH12C4S2BrO2
1.0
10.135 0.000 0.000
0.000 6.574 0.000
0.000 1.129 16.730
Na H O C S Br
4 48 8 16 8 4
Direct
0.430 0.745 0.029
0.070 0.745 0.529
0.570 0.255 0.971
0.930 0.255 0.471
0.661 0.660 0.455
0.583 0.635 0.845
0.269 0.105 0.513
0.937 0.195 0.276
0.961 0.919 0.800
0.063 0.805 0.724
0.575 0.809 0.527
0.636 0.338 0.540
0.161 0.340 0.045
0.917 0.635 0.345
0.769 0.895 0.987
0.613 0.755 0.231
0.061 0.279 0.758
0.958 0.472 0.113
0.539 0.919 0.300
0.387 0.245 0.769
0.177 0.693 0.854
0.113 0.245 0.269
0.563 0.195 0.776
0.231 0.105 0.013
0.336 0.134 0.193
0.083 0.365 0.655
0.731 0.895 0.487
0.839 0.660 0.955
0.042 0.528 0.887
0.561 0.721 0.742
0.887 0.755 0.731
0.542 0.472 0.613
0.939 0.721 0.242
0.075 0.191 0.973
0.864 0.338 0.040
0.425 0.191 0.473
0.417 0.365 0.155
0.164 0.134 0.693
0.925 0.809 0.027
0.437 0.805 0.224
0.323 0.693 0.354
0.364 0.662 0.460
0.039 0.081 0.200
0.458 0.528 0.387
0.664 0.866 0.807
0.439 0.279 0.258
0.136 0.662 0.960
0.339 0.340 0.545
0.461 0.081 0.700
0.677 0.307 0.646
0.823 0.307 0.146
0.836 0.866 0.307
0.880 0.536 0.554
0.620 0.536 0.054
0.458 0.979 0.913
0.380 0.464 0.946
0.542 0.021 0.087
0.042 0.979 0.413
0.958 0.021 0.587
0.120 0.464 0.446
0.965 0.867 0.739
0.535 0.867 0.239
0.171 0.239 0.995
0.640 0.411 0.597
0.465 0.133 0.761
0.140 0.589 0.903
0.923 0.769 0.303
0.829 0.761 0.005
0.577 0.769 0.803
0.077 0.231 0.697
0.671 0.761 0.505
0.329 0.239 0.495
0.860 0.411 0.097
0.035 0.133 0.261
0.423 0.231 0.197
0.360 0.589 0.403
0.753 0.622 0.587
0.247 0.378 0.413
0.567 0.087 0.171
0.433 0.913 0.829
0.253 0.378 0.913
0.067 0.913 0.329
0.933 0.087 0.671
0.747 0.622 0.087
0.194 0.720 0.129
0.306 0.720 0.629
0.806 0.280 0.871
0.694 0.280 0.371
```

Summary:
- M_tot (μB per formula unit) = 0.00
- electronic total energy (eV per atom) = -4.89
- volume (Å³/cell) = 1114.7



3.
Entry from the Materials Project database: K3PrCl6 after structural relaxation (GGA-PBE).

```
K3PrCl6
1.0
4.770 -3.462 5.556
3.093 4.449 6.021
-2.682 -1.014 7.576
K Pr Cl
3 1 6
Direct
0.250 0.250 0.250
0.500 0.500 0.500
0.750 0.750 0.750
0.000 0.000 0.000
0.240 0.760 0.240
0.760 0.240 0.240
0.240 0.240 0.760
0.760 0.760 0.240
0.760 0.240 0.760
0.240 0.760 0.760
```

Summary:
- M_tot (μB per formula unit) = 0.00
- electronic total energy (eV per atom) = -3.94
- volume (Å³/cell) = 375.8



4.
Entry from the Materials Project database: KOs2O6 after structural relaxation (GGA-PBE).

```
KOs2O6
1.0
0.000 5.111 5.111
5.111 0.000 5.111
5.111 5.111 0.000
O K Os
12 2 4
Direct
0.559 0.559 0.941
0.691 0.309 0.691
0.309 0.309 0.691
0.559 0.941 0.941
0.691 0.309 0.309
0.559 0.941 0.559
0.941 0.559 0.941
0.309 0.691 0.691
0.691 0.691 0.309
0.309 0.691 0.309
0.941 0.941 0.559
0.941 0.559 0.559
0.000 0.000 0.000
0.250 0.250 0.250
0.625 0.125 0.625
0.625 0.625 0.125
0.125 0.625 0.625
0.625 0.625 0.625
```

Summary:
- electronic total energy (eV per atom) = -7.11
- volume (Å³/cell) = 267.0
- offset from the most stable computed form (eV per formula unit) = 0.10



5.
Entry from the Materials Project database: CeSe2 after structural relaxation (GGA-PBE).

```
CeSe2
1.0
-0.881 -2.524 -6.809
-6.963 -2.179 1.709
-6.618 5.123 -1.042
Se Ce
8 4
Direct
0.771 0.399 0.744
0.228 0.665 0.728
0.723 0.918 0.739
0.229 0.399 0.244
0.277 0.918 0.239
0.753 0.150 0.249
0.247 0.150 0.749
0.772 0.665 0.228
0.073 0.292 0.994
0.423 0.023 0.494
0.927 0.292 0.494
0.577 0.023 0.994
```

Summary:
- M_tot (μB per formula unit) = 0.00
- electronic total energy (eV per atom) = -5.71
- volume (Å³/cell) = 393.6



6.
Entry from the Materials Project database: CsRbMg14O15 after structural relaxation (GGA-PBE).

```
CsRbMg14O15
1.0
-0.866 -3.999 -1.112
4.389 -2.957 7.217
-8.132 0.345 5.087
O Mg Rb Cs
15 14 1 1
Direct
0.500 0.244 0.267
0.000 0.500 0.270
0.000 0.273 0.533
0.500 0.000 0.937
0.000 0.736 0.011
0.000 0.264 0.011
0.500 0.727 0.749
0.500 0.000 0.519
0.000 0.000 0.313
0.500 0.500 0.501
0.000 0.727 0.533
0.500 0.273 0.749
0.500 0.500 0.027
0.000 0.000 0.720
0.500 0.756 0.267
0.000 0.783 0.747
0.500 0.742 0.500
0.500 0.500 0.702
0.000 0.000 0.514
0.500 0.500 0.232
0.500 0.750 0.991
0.000 0.500 0.473
0.500 0.000 0.738
0.500 0.258 0.500
0.000 0.733 0.233
0.500 0.000 0.305
0.500 0.250 0.991
0.000 0.217 0.747
0.000 0.267 0.233
0.000 0.000 0.055
0.000 0.500 0.884
```

Summary:
- M_tot (μB per formula unit) = 0.00
- electronic total energy (eV per atom) = -5.30
- volume (Å³/cell) = 364.2
- offset from the most stable computed form (eV per formula unit) = 3.23



7.
Entry from the Materials Project database: Ba2ZnHg after structural relaxation (GGA-PBE).

```
Ba2ZnHg
1.0
0.000 4.173 4.173
4.173 0.000 4.173
4.173 4.173 0.000
Ba Zn Hg
2 1 1
Direct
0.250 0.250 0.250
0.750 0.750 0.750
0.000 0.000 0.000
0.500 0.500 0.500
```

Summary:
- electronic total energy (eV per atom) = -1.70
- volume (Å³/cell) = 145.3



8.
Entry from the Materials Project database: MgSi2 after structural relaxation (GGA-PBE).

```
MgSi2
1.0
3.783 0.000 0.000
0.000 6.292 0.000
0.000 2.887 9.955
Mg Si
4 8
Direct
0.730 0.816 0.239
0.230 0.184 0.761
0.225 0.343 0.247
0.725 0.657 0.753
0.204 0.062 0.050
0.365 0.963 0.440
0.739 0.411 0.565
0.865 0.037 0.560
0.239 0.589 0.435
0.728 0.555 0.052
0.228 0.445 0.948
0.704 0.938 0.950
```

Summary:
- M_tot (μB per formula unit) = 0.00
- electronic total energy (eV per atom) = -4.06
- volume (Å³/cell) = 236.9
- offset from the most stable computed form (eV per formula unit) = 0.17



9.
Entry from the Materials Project database: Na4Sc2Si2SO12 after structural relaxation (GGA-PBE).

```
Na4Sc2Si2SO12
1.0
-1.309 9.097 -0.631
-7.257 -5.674 -0.050
-1.245 1.344 22.403
O Sc Na S Si
72 12 24 6 12
Direct
0.307 0.845 0.254
0.484 0.121 0.641
0.818 0.020 0.809
0.164 0.486 0.254
0.884 0.358 0.637
0.151 0.687 0.476
0.465 0.147 0.244
0.848 0.502 0.420
0.154 0.656 0.080
0.314 0.487 0.754
0.798 0.813 0.911
0.514 0.836 0.754
0.131 0.480 0.578
0.520 0.869 0.078
0.697 0.176 0.746
0.124 0.487 0.858
0.791 0.970 0.691
0.846 0.352 0.921
0.187 0.202 0.411
0.524 0.646 0.863
0.021 0.809 0.697
0.354 0.476 0.363
0.981 0.820 0.087
0.546 0.849 0.475
0.487 0.323 0.747
0.974 0.179 0.587
0.647 0.516 0.642
0.030 0.209 0.191
0.790 0.820 0.191
0.821 0.026 0.087
0.513 0.876 0.358
0.010 0.180 0.913
0.688 0.142 0.030
0.181 0.169 0.087
0.217 0.025 0.304
0.831 0.819 0.587
0.879 0.516 0.141
0.491 0.637 0.580
0.212 0.182 0.808
0.157 0.970 0.913
0.484 0.353 0.142
0.820 0.990 0.413
0.180 0.210 0.691
0.677 0.513 0.247
0.696 0.542 0.525
0.498 0.152 0.920
0.457 0.153 0.524
0.344 0.846 0.580
0.151 0.454 0.975
0.980 0.182 0.309
0.818 0.788 0.308
0.513 0.686 0.254
0.458 0.304 0.025
0.180 0.019 0.587
0.030 0.843 0.413
0.363 0.509 0.080
0.124 0.637 0.358
0.858 0.312 0.530
0.550 0.691 0.971
0.641 0.512 0.920
0.853 0.535 0.744
0.824 0.303 0.246
0.975 0.783 0.804
0.191 0.979 0.197
0.642 0.116 0.137
0.648 0.154 0.421
0.363 0.876 0.858
0.309 0.450 0.471
0.313 0.849 0.976
0.155 0.693 0.754
0.847 0.543 0.024
0.488 0.359 0.420
0.981 0.988 0.351
0.664 0.336 0.483
0.998 0.003 0.649
0.647 0.321 0.684
0.345 0.686 0.518
0.012 0.019 0.851
0.997 0.002 0.149
0.331 0.669 0.816
0.331 0.669 0.316
0.679 0.353 0.184
0.314 0.655 0.018
0.664 0.336 0.983
0.700 0.046 0.908
0.382 0.011 0.754
0.657 0.309 0.834
0.024 0.009 0.000
0.991 0.976 0.500
0.324 0.642 0.167
0.323 0.285 0.921
0.984 0.666 0.922
0.989 0.618 0.254
0.033 0.713 0.574
0.668 0.683 0.089
0.001 0.350 0.756
0.334 0.016 0.422
0.620 0.634 0.741
0.691 0.343 0.334
0.954 0.300 0.408
0.317 0.332 0.589
0.715 0.677 0.421
0.048 0.344 0.088
0.358 0.676 0.667
0.287 0.967 0.074
0.366 0.380 0.241
0.656 0.952 0.588
0.650 0.999 0.256
0.627 0.667 0.917
0.666 0.039 0.084
0.961 0.334 0.584
0.000 0.706 0.750
0.333 0.373 0.417
0.294 0.000 0.250
0.699 0.702 0.249
0.032 0.369 0.916
0.666 0.630 0.584
0.631 0.968 0.416
0.037 0.667 0.417
0.333 0.963 0.917
0.965 0.634 0.083
0.366 0.035 0.583
0.298 0.301 0.749
0.000 0.296 0.250
0.704 0.000 0.750
0.370 0.334 0.084
```

Summary:
- M_tot (μB per formula unit) = 0.00
- electronic total energy (eV per atom) = -6.88
- volume (Å³/cell) = 1656.3



10.
Entry from the Materials Project database: DySb3 after structural relaxation (GGA-PBE).

```
DySb3
1.0
2.613 5.904 1.032
-4.558 -2.316 4.076
4.218 -2.448 3.326
Sb Dy
6 2
Direct
0.174 0.348 0.250
0.826 0.174 0.750
0.174 0.826 0.250
0.348 0.174 0.750
0.826 0.652 0.750
0.652 0.826 0.250
0.333 0.667 0.750
0.667 0.333 0.250
```

Summary:
- M_tot (μB per formula unit) = 0.00
- electronic total energy (eV per atom) = -4.65
- volume (Å³/cell) = 218.6